Record 1
A geometry-optimized Li4MnCrO6 structure. Source: Materials Project, functional PBE+U.

Structure (CIF):
```
data_Li4MnCrO6
_symmetry_space_group_name_H-M 'P 1'
_symmetry_Int_Tables_number 1
_cell_length_a 5.014
_cell_length_b 8.731
_cell_length_c 9.776
_cell_angle_alpha 98.54
_cell_angle_beta 94.55
_cell_angle_gamma 90.10
loop_
_symmetry_equiv_pos_as_xyz
'x,y,z'
loop_
_atom_site_label
_atom_site_type_symbol
_atom_site_fract_x
_atom_site_fract_y
_atom_site_fract_z
Li1 Li 0.000 0.000 0.000
Li2 Li 0.001 0.330 0.998
Li3 Li 0.010 0.659 0.999
Li4 Li 0.128 0.455 0.749
Li5 Li 0.246 0.248 0.500
Li6 Li 0.256 0.578 0.500
Li7 Li 0.262 0.911 0.498
Li8 Li 0.381 0.703 0.249
Li9 Li 0.497 0.499 0.998
Li10 Li 0.506 0.827 0.999
Li11 Li 0.509 0.160 0.996
Li12 Li 0.625 0.955 0.749
Li13 Li 0.743 0.745 0.499
Li14 Li 0.756 0.080 0.498
Li15 Li 0.762 0.414 0.501
Li16 Li 0.878 0.205 0.249
Mn1 Mn 0.131 0.122 0.750
Mn2 Mn 0.627 0.619 0.748
Mn3 Mn 0.629 0.288 0.749
Mn4 Mn 0.879 0.871 0.249
Cr1 Cr 0.121 0.790 0.749
Cr2 Cr 0.373 0.368 0.248
Cr3 Cr 0.386 0.037 0.250
Cr4 Cr 0.881 0.541 0.248
O1 O 0.038 0.722 0.360
O2 O 0.072 0.043 0.361
O3 O 0.085 0.402 0.363
O4 O 0.172 0.507 0.134
O5 O 0.181 0.867 0.138
O6 O 0.222 0.189 0.137
O7 O 0.290 0.977 0.862
O8 O 0.325 0.295 0.860
O9 O 0.327 0.654 0.862
O10 O 0.432 0.115 0.638
O11 O 0.432 0.755 0.636
O12 O 0.467 0.435 0.638
O13 O 0.535 0.218 0.361
O14 O 0.578 0.542 0.360
O15 O 0.579 0.900 0.363
O16 O 0.680 0.366 0.137
O17 O 0.684 0.006 0.136
O18 O 0.716 0.690 0.136
O19 O 0.788 0.472 0.860
O20 O 0.826 0.152 0.862
O21 O 0.829 0.791 0.860
O22 O 0.927 0.612 0.636
O23 O 0.932 0.256 0.636
O24 O 0.974 0.935 0.638
```

size of the total moment = 0.417 μB/atom
formation energy from the elements = -2.206 eV per atom
energy relative to the lowest polymorph listed for this composition = 38 meV/atom

Record 2
A geometry-optimized Li9Mn7Cr12O48 structure. Source: Materials Project, functional PBE+U.

Structure (CIF):
```
data_Li9Mn7Cr12O48
_symmetry_space_group_name_H-M 'P 1'
_symmetry_Int_Tables_number 1
_cell_length_a 5.148
_cell_length_b 10.358
_cell_length_c 17.435
_cell_angle_alpha 90.12
_cell_angle_beta 90.52
_cell_angle_gamma 90.20
loop_
_symmetry_equiv_pos_as_xyz
'x,y,z'
loop_
_atom_site_label
_atom_site_type_symbol
_atom_site_fract_x
_atom_site_fract_y
_atom_site_fract_z
Li1 Li 0.000 0.000 0.000
Li2 Li 0.002 0.323 0.333
Li3 Li 0.012 0.154 0.502
Li4 Li 0.016 0.831 0.830
Li5 Li 0.159 0.324 0.782
Li6 Li 0.355 0.828 0.280
Li7 Li 0.497 0.322 0.233
Li8 Li 0.502 0.654 0.561
Li9 Li 0.513 0.825 0.730
Mn1 Mn 0.005 0.656 0.002
Mn2 Mn 0.007 0.504 0.505
Mn3 Mn 0.506 0.497 0.060
Mn4 Mn 0.507 0.008 0.556
Mn5 Mn 0.507 0.147 0.058
Mn6 Mn 0.660 0.325 0.779
Mn7 Mn 0.853 0.827 0.283
Cr1 Cr 0.034 0.106 0.186
Cr2 Cr 0.034 0.547 0.188
Cr3 Cr 0.038 0.827 0.476
Cr4 Cr 0.476 0.326 0.586
Cr5 Cr 0.479 0.605 0.875
Cr6 Cr 0.482 0.048 0.875
Cr7 Cr 0.535 0.103 0.376
Cr8 Cr 0.535 0.548 0.376
Cr9 Cr 0.537 0.826 0.088
Cr10 Cr 0.975 0.048 0.685
Cr11 Cr 0.977 0.326 0.975
Cr12 Cr 0.979 0.603 0.687
O1 O 0.097 0.966 0.233
O2 O 0.098 0.686 0.234
O3 O 0.102 0.827 0.382
O4 O 0.149 0.952 0.739
O5 O 0.157 0.569 0.608
O6 O 0.158 0.081 0.608
O7 O 0.158 0.458 0.997
O8 O 0.163 0.200 0.997
O9 O 0.163 0.697 0.741
O10 O 0.206 0.684 0.901
O11 O 0.209 0.330 0.529
O12 O 0.211 0.972 0.900
O13 O 0.307 0.468 0.162
O14 O 0.310 0.183 0.160
O15 O 0.310 0.834 0.534
O16 O 0.350 0.695 0.067
O17 O 0.351 0.196 0.323
O18 O 0.355 0.580 0.454
O19 O 0.355 0.954 0.067
O20 O 0.358 0.069 0.457
O21 O 0.361 0.452 0.322
O22 O 0.411 0.327 0.680
O23 O 0.416 0.187 0.828
O24 O 0.416 0.466 0.829
O25 O 0.600 0.966 0.329
O26 O 0.601 0.685 0.329
O27 O 0.609 0.825 0.181
O28 O 0.653 0.191 0.565
O29 O 0.660 0.571 0.955
O30 O 0.660 0.699 0.824
O31 O 0.661 0.082 0.954
O32 O 0.661 0.953 0.821
O33 O 0.666 0.451 0.565
O34 O 0.693 0.969 0.655
O35 O 0.708 0.325 0.034
O36 O 0.711 0.681 0.662
O37 O 0.800 0.825 0.030
O38 O 0.804 0.182 0.401
O39 O 0.813 0.469 0.404
O40 O 0.850 0.953 0.497
O41 O 0.853 0.579 0.108
O42 O 0.854 0.072 0.108
O43 O 0.855 0.453 0.240
O44 O 0.858 0.202 0.239
O45 O 0.863 0.696 0.497
O46 O 0.907 0.326 0.882
O47 O 0.912 0.464 0.734
O48 O 0.913 0.185 0.732
```

size of the total moment = 0.447 μB/atom
formation energy from the elements = -1.914 eV per atom
energy relative to the lowest polymorph listed for this composition = 2 meV/atom

Record 3
A geometry-optimized Li2MnCrO4 structure. Source: Materials Project, functional PBE+U.

Structure (CIF):
```
data_Li2MnCrO4
_symmetry_space_group_name_H-M 'P -1'
_symmetry_Int_Tables_number 2
_cell_length_a 6.035
_cell_length_b 10.241
_cell_length_c 10.249
_cell_angle_alpha 107.63
_cell_angle_beta 91.24
_cell_angle_gamma 91.96
loop_
_symmetry_equiv_pos_as_xyz
'x,y,z'
'-x,-y,-z'
loop_
_atom_site_label
_atom_site_type_symbol
_atom_site_fract_x
_atom_site_fract_y
_atom_site_fract_z
Li1 Li 0.002 0.251 0.250
Li2 Li 0.009 0.749 0.248
Li3 Li 0.245 0.502 0.250
Li4 Li 0.248 0.998 0.751
Li5 Li 0.254 0.750 0.497
Li6 Li 0.256 0.249 0.997
Li7 Li 0.495 0.750 0.250
Li8 Li 0.496 0.751 0.750
Mn1 Mn 0.000 0.000 0.500
Mn2 Mn 0.000 0.500 0.000
Mn3 Mn 0.240 0.750 0.999
Mn4 Mn 0.250 0.249 0.500
Mn5 Mn 0.500 0.000 0.000
Mn6 Mn 0.500 0.500 0.000
Cr1 Cr 0.000 0.000 0.000
Cr2 Cr 0.000 0.500 0.500
Cr3 Cr 0.253 0.497 0.749
Cr4 Cr 0.253 0.999 0.249
Cr5 Cr 0.500 0.000 0.500
Cr6 Cr 0.500 0.500 0.500
O1 O 0.002 0.886 0.129
O2 O 0.004 0.383 0.627
O3 O 0.024 0.613 0.872
O4 O 0.029 0.118 0.376
O5 O 0.223 0.870 0.885
O6 O 0.227 0.628 0.114
O7 O 0.240 0.379 0.391
O8 O 0.252 0.115 0.605
O9 O 0.260 0.610 0.617
O10 O 0.261 0.112 0.115
O11 O 0.262 0.881 0.373
O12 O 0.271 0.381 0.877
O13 O 0.473 0.378 0.622
O14 O 0.474 0.882 0.120
O15 O 0.497 0.614 0.875
O16 O 0.499 0.116 0.371
```

size of the total moment = 0.875 μB/atom
formation energy from the elements = -2.260 eV per atom
energy relative to the lowest polymorph listed for this composition = 12 meV/atom

Number 1: final energy -6.23 eV per atom. Number 2: final energy -6.73 eV per atom. Number 3: final energy -6.76 eV per atom.